(1)
VASP calculation (PBE with a Hubbard U) on a relaxed Na2LiMnPCO7 crystal.

CIF file:
```
data_Na2LiMnPCO7
_chemical_formula_sum 'Na8 Li4 Mn4 P4 C4 O28'
_cell_length_a 6.784
_cell_length_b 8.858
_cell_length_c 10.226
_cell_angle_alpha 89.31
_cell_angle_beta 89.95
_cell_angle_gamma 89.92
_symmetry_space_group_name_H-M 'P 1'
_symmetry_Int_Tables_number 1
loop_
_symmetry_equiv_pos_as_xyz
'x,y,z'
loop_
_atom_site_label
_atom_site_fract_x
_atom_site_fract_y
_atom_site_fract_z
O1 0.726 0.092 0.642
O2 0.235 0.580 0.804
O3 0.247 0.574 0.297
O4 0.250 0.089 0.988
O5 0.568 0.317 0.402
O6 0.434 0.690 0.106
O7 0.749 0.879 0.018
O8 0.736 0.421 0.696
O9 0.753 0.861 0.737
O10 0.936 0.318 0.396
O11 0.767 0.575 0.902
O12 0.248 0.093 0.488
O13 0.255 0.146 0.772
O14 0.249 0.435 0.085
O15 0.224 0.904 0.838
O16 0.253 0.154 0.273
O17 0.068 0.683 0.600
O18 0.752 0.855 0.236
O19 0.749 0.571 0.414
O20 0.250 0.911 0.334
O21 0.747 0.427 0.203
O22 0.935 0.315 0.887
O23 0.568 0.325 0.902
O24 0.749 0.883 0.519
O25 0.071 0.692 0.100
O26 0.266 0.431 0.596
O27 0.432 0.694 0.614
O28 0.750 0.087 0.143
Li1 0.522 0.271 0.616
Li2 0.246 0.909 0.123
Li3 0.019 0.731 0.883
Li4 0.251 0.915 0.627
P1 0.751 0.411 0.849
P2 0.251 0.595 0.145
P3 0.750 0.411 0.355
P4 0.251 0.595 0.651
Mn1 0.753 0.641 0.108
Mn2 0.252 0.362 0.392
Mn3 0.752 0.644 0.615
Mn4 0.253 0.360 0.885
Na1 0.749 0.082 0.879
Na2 0.498 0.743 0.377
Na3 0.001 0.744 0.377
Na4 0.746 0.084 0.380
Na5 0.498 0.746 0.875
Na6 0.000 0.258 0.124
Na7 0.000 0.254 0.625
Na8 0.499 0.257 0.124
C1 0.743 0.946 0.633
C2 0.250 0.052 0.366
C3 0.751 0.941 0.132
C4 0.243 0.046 0.867
```

Results
* electronic total energy: -6.721 eV per atom
* total magnetic moment: 5.00 μB/f.u.
* V: 153.60 Å³/f.u.
* polymorph energy (0 for the lowest one): 0.09 eV/f.u.


(2)
VASP calculation (PBE with a Hubbard U) on a relaxed Mg14CrSnO16 crystal.

CIF file:
```
data_Mg14CrSnO16
_chemical_formula_sum 'Mg14 Cr1 Sn1 O16'
_cell_length_a 8.770
_cell_length_b 8.661
_cell_length_c 4.362
_cell_angle_alpha 90.00
_cell_angle_beta 90.00
_cell_angle_gamma 90.00
_symmetry_space_group_name_H-M 'P 1'
_symmetry_Int_Tables_number 1
loop_
_symmetry_equiv_pos_as_xyz
'x,y,z'
loop_
_atom_site_label
_atom_site_fract_x
_atom_site_fract_y
_atom_site_fract_z
Mg1 0.257 0.255 0.000
Mg2 0.743 0.745 0.000
Mg3 0.500 0.749 0.500
Mg4 0.743 0.255 0.000
Mg5 0.500 0.500 0.000
Mg6 0.000 0.742 0.500
Mg7 0.740 0.000 0.500
Mg8 0.260 0.000 0.500
Mg9 0.000 0.258 0.500
Mg10 0.257 0.745 0.000
Mg11 0.500 0.000 0.000
Mg12 0.255 0.500 0.500
Mg13 0.500 0.251 0.500
Mg14 0.745 0.500 0.500
O1 0.728 0.000 0.000
O2 0.000 0.000 0.500
O3 0.734 0.500 0.000
O4 0.000 0.732 0.000
O5 0.266 0.500 0.000
O6 0.000 0.268 0.000
O7 0.751 0.250 0.500
O8 0.272 0.000 0.000
O9 0.500 0.500 0.500
O10 0.500 0.252 0.000
O11 0.500 0.000 0.500
O12 0.249 0.250 0.500
O13 0.000 0.500 0.500
O14 0.249 0.750 0.500
O15 0.751 0.750 0.500
O16 0.500 0.748 0.000
Sn1 0.000 0.000 0.000
Cr1 0.000 0.500 0.000
```

Results
* electronic total energy: -5.969 eV per atom
* total magnetic moment: 4.00 μB/f.u.
* V: 331.33 Å³/f.u.
* polymorph energy (0 for the lowest one): 0.00 eV/f.u.


(3)
VASP calculation (PBE with a Hubbard U) on a relaxed K2RbLuV2O8 crystal.

CIF file:
```
data_K2RbLuV2O8
_chemical_formula_sum 'K2 Rb1 Lu1 V2 O8'
_cell_length_a 5.964
_cell_length_b 5.964
_cell_length_c 7.769
_cell_angle_alpha 90.00
_cell_angle_beta 90.00
_cell_angle_gamma 120.00
_symmetry_space_group_name_H-M 'P 1'
_symmetry_Int_Tables_number 1
loop_
_symmetry_equiv_pos_as_xyz
'x,y,z'
loop_
_atom_site_label
_atom_site_fract_x
_atom_site_fract_y
_atom_site_fract_z
O1 0.828 0.172 0.668
O2 0.667 0.333 0.962
O3 0.172 0.345 0.332
O4 0.333 0.667 0.038
O5 0.172 0.828 0.332
O6 0.828 0.655 0.668
O7 0.655 0.828 0.332
O8 0.345 0.172 0.668
Rb1 0.000 0.000 0.000
K1 0.667 0.333 0.299
K2 0.333 0.667 0.701
V1 0.333 0.667 0.254
V2 0.667 0.333 0.746
Lu1 0.000 0.000 0.500
```

Results
* electronic total energy: -6.795 eV per atom
* total magnetic moment: 0.00 μB/f.u.
* V: 239.28 Å³/f.u.


(4)
VASP calculation (PBE with a Hubbard U) on a relaxed Li2V2F7 crystal.

CIF file:
```
data_Li2V2F7
_chemical_formula_sum 'Li4 V4 F14'
_cell_length_a 6.333
_cell_length_b 6.679
_cell_length_c 7.611
_cell_angle_alpha 111.37
_cell_angle_beta 97.45
_cell_angle_gamma 108.12
_symmetry_space_group_name_H-M 'P 1'
_symmetry_Int_Tables_number 1
loop_
_symmetry_equiv_pos_as_xyz
'x,y,z'
loop_
_atom_site_label
_atom_site_fract_x
_atom_site_fract_y
_atom_site_fract_z
F1 0.656 0.331 0.187
F2 0.743 0.568 0.935
F3 0.804 0.013 0.885
F4 0.257 0.432 0.065
F5 0.196 0.987 0.115
F6 0.485 0.302 0.516
F7 0.335 0.071 0.758
F8 0.121 0.769 0.344
F9 0.515 0.698 0.484
F10 0.879 0.231 0.656
F11 0.096 0.363 0.387
F12 0.904 0.637 0.613
F13 0.344 0.669 0.813
F14 0.665 0.929 0.242
V1 0.231 0.733 0.578
V2 0.362 0.333 0.262
V3 0.638 0.667 0.738
V4 0.769 0.267 0.422
Li1 0.333 0.758 0.110
Li2 0.914 0.824 0.182
Li3 0.086 0.176 0.818
Li4 0.667 0.242 0.890
```

Results
* electronic total energy: -5.665 eV per atom
* total magnetic moment: 5.00 μB/f.u.
* V: 137.00 Å³/f.u.
* polymorph energy (0 for the lowest one): 0.66 eV/f.u.


(5)
VASP calculation (PBE with a Hubbard U) on a relaxed Li9Mn2Co5O16 crystal.

CIF file:
```
data_Li9Mn2Co5O16
_chemical_formula_sum 'Li9 Mn2 Co5 O16'
_cell_length_a 5.778
_cell_length_b 5.833
_cell_length_c 9.749
_cell_angle_alpha 97.34
_cell_angle_beta 91.33
_cell_angle_gamma 118.47
_symmetry_space_group_name_H-M 'P 1'
_symmetry_Int_Tables_number 1
loop_
_symmetry_equiv_pos_as_xyz
'x,y,z'
loop_
_atom_site_label
_atom_site_fract_x
_atom_site_fract_y
_atom_site_fract_z
O1 0.570 0.625 0.382
O2 0.700 0.889 0.112
O3 0.926 0.871 0.614
O4 0.791 0.093 0.882
O5 0.304 0.644 0.895
O6 0.209 0.907 0.118
O7 0.426 0.872 0.615
O8 0.074 0.129 0.386
O9 0.071 0.627 0.383
O10 0.574 0.128 0.385
O11 0.929 0.373 0.617
O12 0.430 0.375 0.618
O13 0.696 0.356 0.105
O14 0.836 0.645 0.893
O15 0.164 0.355 0.107
O16 0.300 0.111 0.888
Li1 0.867 0.740 0.246
Li2 0.623 0.253 0.752
Li3 0.882 0.251 0.245
Li4 0.377 0.747 0.248
Li5 0.118 0.749 0.755
Li6 0.500 0.500 0.000
Li7 0.133 0.260 0.754
Li8 0.615 0.737 0.752
Li9 0.385 0.263 0.248
Co1 0.750 0.000 0.500
Co2 0.000 0.500 0.000
Co3 0.250 0.000 0.500
Co4 0.751 0.500 0.500
Co5 0.249 0.500 0.500
Mn1 0.000 0.000 0.000
Mn2 0.500 0.000 0.000
```

Results
* electronic total energy: -5.839 eV per atom
* total magnetic moment: 8.00 μB/f.u.
* V: 285.12 Å³/f.u.
* polymorph energy (0 for the lowest one): 0.50 eV/f.u.


(6)
VASP calculation (PBE with a Hubbard U) on a relaxed VOF crystal.

CIF file:
```
data_VOF
_chemical_formula_sum 'V2 O2 F2'
_cell_length_a 4.766
_cell_length_b 4.766
_cell_length_c 3.083
_cell_angle_alpha 90.00
_cell_angle_beta 90.00
_cell_angle_gamma 95.05
_symmetry_space_group_name_H-M 'P 1'
_symmetry_Int_Tables_number 1
loop_
_symmetry_equiv_pos_as_xyz
'x,y,z'
loop_
_atom_site_label
_atom_site_fract_x
_atom_site_fract_y
_atom_site_fract_z
O1 0.300 0.300 0.000
O2 0.700 0.700 0.000
V1 0.500 0.500 0.500
V2 0.000 0.000 0.000
F1 0.196 0.804 0.500
F2 0.804 0.196 0.500
```

Results
* electronic total energy: -7.155 eV per atom
* total magnetic moment: 2.00 μB/f.u.
* V: 34.88 Å³/f.u.


(7)
VASP calculation (PBE with a Hubbard U) on a relaxed Li6V3P8O29 crystal.

CIF file:
```
data_Li6V3P8O29
_chemical_formula_sum 'Li12 V6 P16 O58'
_cell_length_a 9.804
_cell_length_b 9.829
_cell_length_c 13.900
_cell_angle_alpha 89.74
_cell_angle_beta 89.71
_cell_angle_gamma 60.15
_symmetry_space_group_name_H-M 'P 1'
_symmetry_Int_Tables_number 1
loop_
_symmetry_equiv_pos_as_xyz
'x,y,z'
loop_
_atom_site_label
_atom_site_fract_x
_atom_site_fract_y
_atom_site_fract_z
O1 0.478 0.336 0.327
O2 0.081 0.661 0.160
O3 0.375 0.523 0.167
O4 0.259 0.081 0.160
O5 0.909 0.475 0.321
O6 0.819 0.521 0.670
O7 0.107 0.372 0.169
O8 0.253 0.666 0.656
O9 0.666 0.663 0.017
O10 0.244 0.754 0.435
O11 0.246 0.996 0.569
O12 0.915 0.748 0.339
O13 0.668 0.669 0.520
O14 0.754 0.994 0.436
O15 0.523 0.104 0.169
O16 0.206 0.786 0.255
O17 0.375 0.111 0.672
O18 0.010 0.204 0.255
O19 0.662 0.820 0.670
O20 0.893 0.625 0.831
O21 0.770 0.242 0.573
O22 0.516 0.374 0.671
O23 0.996 0.219 0.074
O24 0.811 0.673 0.164
O25 0.477 0.183 0.830
O26 0.231 0.992 0.934
O27 0.183 0.339 0.830
O28 0.745 0.917 0.838
O29 0.112 0.514 0.672
O30 0.003 0.785 0.750
O31 0.520 0.663 0.670
O32 0.331 0.336 0.481
O33 0.775 0.233 0.936
O34 0.666 0.082 0.657
O35 0.996 0.758 0.569
O36 0.668 0.514 0.166
O37 0.783 0.209 0.755
O38 0.511 0.812 0.164
O39 0.333 0.332 0.980
O40 0.212 0.002 0.751
O41 0.219 0.786 0.074
O42 0.340 0.477 0.829
O43 0.481 0.622 0.324
O44 0.617 0.905 0.320
O45 0.917 0.337 0.838
O46 0.338 0.744 0.837
O47 0.787 0.007 0.255
O48 0.787 0.991 0.074
O49 0.994 0.774 0.934
O50 0.625 0.481 0.831
O51 0.003 0.246 0.434
O52 0.481 0.893 0.831
O53 0.183 0.489 0.335
O54 0.331 0.918 0.341
O55 0.748 0.341 0.340
O56 0.667 0.254 0.157
O57 0.327 0.187 0.335
O58 0.081 0.253 0.656
V1 0.001 0.433 0.753
V2 0.434 0.563 0.753
V3 0.434 0.998 0.251
V4 0.998 0.568 0.251
V5 0.566 0.003 0.753
V6 0.567 0.432 0.253
P1 0.684 0.229 0.657
P2 0.910 0.774 0.844
P3 0.230 0.090 0.658
P4 0.331 0.335 0.373
P5 0.768 0.915 0.344
P6 0.667 0.668 0.628
P7 0.316 0.909 0.844
P8 0.333 0.333 0.873
P9 0.089 0.225 0.157
P10 0.689 0.087 0.157
P11 0.774 0.314 0.845
P12 0.090 0.680 0.658
P13 0.226 0.687 0.158
P14 0.320 0.766 0.343
P15 0.664 0.667 0.126
P16 0.913 0.316 0.343
Li1 0.905 0.322 0.559
Li2 0.905 0.767 0.059
Li3 0.327 0.905 0.059
Li4 0.998 0.001 0.991
Li5 0.772 0.912 0.562
Li6 0.339 0.332 0.617
Li7 0.337 0.332 0.114
Li8 0.666 0.666 0.883
Li9 0.768 0.326 0.060
Li10 0.089 0.685 0.440
Li11 0.225 0.091 0.440
Li12 0.324 0.771 0.561
```

Results
* electronic total energy: -7.016 eV per atom
* total magnetic moment: 3.00 μB/f.u.
* V: 580.85 Å³/f.u.
* polymorph energy (0 for the lowest one): 0.22 eV/f.u.


(8)
VASP calculation (PBE with a Hubbard U) on a relaxed V2GaO5 crystal.

CIF file:
```
data_V2GaO5
_chemical_formula_sum 'V12 Ga6 O30'
_cell_length_a 6.128
_cell_length_b 9.145
_cell_length_c 9.957
_cell_angle_alpha 95.14
_cell_angle_beta 107.88
_cell_angle_gamma 99.55
_symmetry_space_group_name_H-M 'P 1'
_symmetry_Int_Tables_number 1
loop_
_symmetry_equiv_pos_as_xyz
'x,y,z'
loop_
_atom_site_label
_atom_site_fract_x
_atom_site_fract_y
_atom_site_fract_z
O1 0.682 0.376 0.179
O2 0.149 0.203 0.696
O3 0.851 0.797 0.304
O4 0.707 0.845 0.991
O5 0.293 0.155 0.009
O6 0.911 0.458 0.602
O7 0.318 0.624 0.821
O8 0.500 0.237 0.389
O9 0.089 0.542 0.398
O10 0.816 0.626 0.820
O11 0.560 0.401 0.918
O12 0.882 0.977 0.787
O13 0.739 0.000 0.499
O14 0.941 0.599 0.082
O15 0.500 0.763 0.611
O16 0.352 0.800 0.304
O17 0.580 0.541 0.399
O18 0.606 0.022 0.213
O19 0.261 0.000 0.501
O20 0.206 0.845 0.990
O21 0.648 0.200 0.696
O22 0.184 0.374 0.180
O23 0.059 0.401 0.918
O24 0.440 0.599 0.082
O25 0.991 0.753 0.608
O26 0.394 0.978 0.787
O27 0.009 0.247 0.392
O28 0.794 0.155 0.010
O29 0.118 0.023 0.213
O30 0.420 0.459 0.601
V1 0.000 0.000 0.000
V2 0.865 0.355 0.052
V3 0.135 0.645 0.948
V4 0.070 0.974 0.653
V5 0.930 0.026 0.347
V6 0.569 0.969 0.653
V7 0.431 0.031 0.347
V8 0.794 0.381 0.387
V9 0.364 0.355 0.051
V10 0.206 0.619 0.613
V11 0.500 0.000 0.000
V12 0.636 0.645 0.949
Ga1 0.937 0.312 0.722
Ga2 0.440 0.312 0.722
Ga3 0.560 0.688 0.278
Ga4 0.712 0.622 0.612
Ga5 0.063 0.688 0.278
Ga6 0.288 0.378 0.388
```

Results
* electronic total energy: -7.321 eV per atom
* total magnetic moment: 3.00 μB/f.u.
* V: 86.30 Å³/f.u.
* polymorph energy (0 for the lowest one): 0.00 eV/f.u.


(9)
VASP calculation (PBE with a Hubbard U) on a relaxed Zr3V3O crystal.

CIF file:
```
data_Zr3V3O
_chemical_formula_sum 'Zr12 V12 O4'
_cell_length_a 8.803
_cell_length_b 8.803
_cell_length_c 8.803
_cell_angle_alpha 60.00
_cell_angle_beta 60.00
_cell_angle_gamma 60.00
_symmetry_space_group_name_H-M 'P 1'
_symmetry_Int_Tables_number 1
loop_
_symmetry_equiv_pos_as_xyz
'x,y,z'
loop_
_atom_site_label
_atom_site_fract_x
_atom_site_fract_y
_atom_site_fract_z
O1 0.125 0.625 0.625
O2 0.625 0.625 0.125
O3 0.625 0.625 0.625
O4 0.625 0.125 0.625
V1 0.917 0.250 0.917
V2 0.333 0.333 0.333
V3 0.333 0.333 0.000
V4 0.125 0.125 0.125
V5 0.125 0.625 0.125
V6 0.333 0.000 0.333
V7 0.625 0.125 0.125
V8 0.125 0.125 0.625
V9 0.250 0.917 0.917
V10 0.000 0.333 0.333
V11 0.917 0.917 0.250
V12 0.917 0.917 0.917
Zr1 0.688 0.312 0.312
Zr2 0.688 0.312 0.688
Zr3 0.562 0.562 0.938
Zr4 0.688 0.688 0.312
Zr5 0.938 0.938 0.562
Zr6 0.312 0.688 0.312
Zr7 0.938 0.562 0.938
Zr8 0.312 0.688 0.688
Zr9 0.312 0.312 0.688
Zr10 0.562 0.938 0.938
Zr11 0.938 0.562 0.562
Zr12 0.562 0.938 0.562
```

Results
* electronic total energy: -7.748 eV per atom
* total magnetic moment: 2.15 μB/f.u.
* V: 120.60 Å³/f.u.


(10)
VASP calculation (PBE with a Hubbard U) on a relaxed NbV3O10 crystal.

CIF file:
```
data_NbV3O10
_chemical_formula_sum 'Nb1 V3 O10'
_cell_length_a 6.716
_cell_length_b 6.716
_cell_length_c 4.511
_cell_angle_alpha 90.00
_cell_angle_beta 90.00
_cell_angle_gamma 90.00
_symmetry_space_group_name_H-M 'P 1'
_symmetry_Int_Tables_number 1
loop_
_symmetry_equiv_pos_as_xyz
'x,y,z'
loop_
_atom_site_label
_atom_site_fract_x
_atom_site_fract_y
_atom_site_fract_z
O1 0.782 0.000 0.712
O2 0.000 0.218 0.288
O3 0.000 0.782 0.288
O4 0.218 0.000 0.712
O5 0.500 0.272 0.739
O6 0.272 0.500 0.261
O7 0.728 0.500 0.261
O8 0.500 0.728 0.739
O9 0.000 0.500 0.725
O10 0.500 0.000 0.275
V1 0.500 0.000 0.634
V2 0.000 0.500 0.366
V3 0.000 0.000 0.500
Nb1 0.500 0.500 0.500
```

Results
* electronic total energy: -7.768 eV per atom
* total magnetic moment: 0.00 μB/f.u.
* V: 203.51 Å³/f.u.